Crystalline Nd2B8O15 at its relaxed geometry. Source: the Materials Project database, functional PBE.

abc: 4.231 9.167 12.558
angles: 63.08 90.00 90.00
Element x y z (fractional)
1 O 0.122 0.860 0.736
2 O 0.258 0.974 0.078
3 O 0.189 0.337 0.041
4 O 0.124 0.428 0.661
5 O 0.370 0.440 0.412
6 O 0.645 0.000 0.750
7 O 0.258 0.026 0.422
8 O 0.742 0.026 0.922
9 O 0.876 0.428 0.161
10 O 0.620 0.277 0.737
11 O 0.380 0.277 0.237
12 O 0.189 0.663 0.459
13 O 0.124 0.572 0.839
14 O 0.776 0.716 0.121
15 O 0.878 0.140 0.264
16 O 0.355 0.000 0.250
17 O 0.742 0.974 0.578
18 O 0.370 0.560 0.088
19 O 0.224 0.716 0.621
20 O 0.878 0.860 0.236
21 O 0.224 0.284 0.879
22 O 0.876 0.572 0.339
23 O 0.380 0.723 0.263
24 O 0.811 0.337 0.541
25 O 0.122 0.140 0.764
26 O 0.630 0.440 0.912
27 O 0.620 0.723 0.763
28 O 0.811 0.663 0.959
29 O 0.776 0.284 0.379
30 O 0.630 0.560 0.588
31 Nd 0.740 0.141 0.053
32 Nd 0.740 0.859 0.447
33 Nd 0.260 0.141 0.553
34 Nd 0.260 0.859 0.947
35 B 0.216 0.106 0.296
36 B 0.292 0.588 0.585
37 B 0.216 0.894 0.204
38 B 0.216 0.594 0.374
39 B 0.216 0.406 0.126
40 B 0.708 0.588 0.085
41 B 0.784 0.894 0.704
42 B 0.270 0.717 0.734
43 B 0.784 0.406 0.626
44 B 0.292 0.412 0.915
45 B 0.730 0.283 0.266
46 B 0.708 0.412 0.415
47 B 0.784 0.106 0.796
48 B 0.730 0.717 0.234
49 B 0.784 0.594 0.874
50 B 0.270 0.283 0.766

Calculated values
* calculated total energy: -8.15 eV/atom
* symmetry: P2/c
* size of the total moment: 0.0 μB/f.u.
* formation enthalpy at 0 K: -70.9 kcal/mol of atoms